## ThV2O6 (PBE with a Hubbard U)

Data for a geometry-optimized ThV2O6 structure.

CIF file:
```
data_ThV2O6
_chemical_formula_sum 'Th2 V4 O12'
_symmetry_space_group_name_H-M 'P 42/m n m'
_symmetry_Int_Tables_number 136
_symmetry_space_group_name_Hall '-P 4n 2n'
_cell_length_a 4.8116
_cell_length_b 4.8116
_cell_length_c 9.7149
_cell_angle_alpha 90.00
_cell_angle_beta 90.00
_cell_angle_gamma 90.00
loop_
_atom_site_label
_atom_site_type_symbol
_atom_site_fract_x
_atom_site_fract_y
_atom_site_fract_z
Th1 Th 0.0000 0.0000 0.0000
V1 V 0.0000 0.0000 0.3383
O1 O 0.1743 0.1743 0.5000
O2 O 0.2256 0.2256 0.1844
```

For the formation energy, the calculation gives -68.5 kcal/mol of atoms. As for the total moment: 2.00 μB per formula unit. As for the crystal system: tetragonal.